First-principles (PBE-GGA) data for a geometry-optimized Ba10Li2Bi4O21 structure, as listed in the Materials Project.

a = 6.0987 Å, b = 14.8560 Å, c = 14.7417 Å
α = 90.00°, β = 90.00°, γ = 90.00°
Positions (direct):
Ba1 0.0000 0.0030 0.0000
Ba2 0.0000 0.0901 0.2529
Ba3 0.0000 0.2910 0.0941
Ba4 0.0000 0.2984 0.5747
Ba5 0.0000 0.4260 0.8292
Ba6 0.0000 0.5740 0.3292
Ba7 0.0000 0.7016 0.0747
Ba8 0.0000 0.7090 0.5941
Ba9 0.0000 0.9099 0.7529
Ba10 0.0000 0.9970 0.5000
Ba11 0.5000 0.0828 0.6580
Ba12 0.5000 0.2035 0.9251
Ba13 0.5000 0.2138 0.4162
Ba14 0.5000 0.4135 0.2461
Ba15 0.5000 0.4961 0.4993
Ba16 0.5000 0.5039 0.9993
Ba17 0.5000 0.5865 0.7461
Ba18 0.5000 0.7862 0.9162
Ba19 0.5000 0.7965 0.4251
Ba20 0.5000 0.9172 0.1580
Li1 0.0000 0.4945 0.1229
Li2 0.0000 0.5055 0.6229
Li3 0.5000 0.0058 0.3724
Li4 0.5000 0.9942 0.8724
Bi1 0.0000 0.1511 0.7866
Bi2 0.0000 0.3172 0.3369
Bi3 0.0000 0.6828 0.8369
Bi4 0.0000 0.8489 0.2866
Bi5 0.5000 0.1826 0.1624
Bi6 0.5000 0.3454 0.7070
Bi7 0.5000 0.6546 0.2070
Bi8 0.5000 0.8174 0.6624
O1 0.0000 0.0895 0.6595
O2 0.0000 0.1951 0.4168
O3 0.0000 0.4161 0.2346
O4 0.0000 0.4331 0.0045
O5 0.0000 0.5669 0.5045
O6 0.0000 0.5839 0.7346
O7 0.0000 0.8049 0.9168
O8 0.0000 0.9105 0.1595
O9 0.2374 0.0732 0.8558
O10 0.2374 0.9268 0.3558
O11 0.2389 0.1305 0.0853
O12 0.2389 0.8695 0.5853
O13 0.2407 0.2570 0.7745
O14 0.2407 0.7430 0.2745
O15 0.2504 0.2484 0.2512
O16 0.2504 0.7516 0.7512
O17 0.2550 0.3756 0.4112
O18 0.2550 0.6244 0.9112
O19 0.2562 0.4301 0.6518
O20 0.2562 0.5699 0.1518
O21 0.5000 0.0585 0.4907
O22 0.5000 0.0773 0.2585
O23 0.5000 0.2561 0.5959
O24 0.5000 0.3058 0.0848
O25 0.5000 0.4139 0.8351
O26 0.5000 0.5861 0.3351
O27 0.5000 0.6942 0.5848
O28 0.5000 0.7439 0.0959
O29 0.5000 0.9227 0.7585
O30 0.5000 0.9415 0.9907
O31 0.7438 0.4301 0.6518
O32 0.7438 0.5699 0.1518
O33 0.7450 0.3756 0.4112
O34 0.7450 0.6244 0.9112
O35 0.7496 0.2484 0.2512
O36 0.7496 0.7516 0.7512
O37 0.7593 0.2570 0.7745
O38 0.7593 0.7430 0.2745
O39 0.7611 0.1305 0.0853
O40 0.7611 0.8695 0.5853
O41 0.7626 0.0732 0.8558
O42 0.7626 0.9268 0.3558

Results
ΔE_f	-2.3681	eV per atom
space-group type	Pmc2_1, No. 26